La2Fe4Sb5: relaxed, PBE.

Computed properties:
- formation enthalpy at 0 K (eV/atom) = -0.48

abc: 13.302 13.302 4.326
angles: 99.22 99.22 19.51
Sites, in units of the cell vectors:
La  0.000  0.000  0.000
La  0.701  0.701  0.705
Fe  0.305  0.305  0.802
Fe  0.351  0.351  0.350
Fe  0.403  0.403  0.902
Fe  0.801  0.801  0.326
Sb  0.101  0.101  0.600
Sb  0.244  0.244  0.248
Sb  0.457  0.457  0.456
Sb  0.600  0.600  0.102
Sb  0.859  0.859  0.887